# 1
{
  "formula": "CrC",
  "functional": "PBE-GGA",
  "state": "relaxed",
  "sg": "P-6m2 (187)",
  "crystal_system": "hexagonal",
  "e_form_ev_per_atom": -0.003,
  "lattice": [[2.707, 0.000, 0.000], [-1.353, 2.344, 0.000], [0.000, 0.000, 2.622]],
  "species": ["Cr", "C"],
  "frac_coords": [[0.000, 0.000, 0.000], [0.333, 0.667, 0.500]]
}

# 2
{
  "formula": "TiRe",
  "functional": "PBE-GGA",
  "state": "relaxed",
  "sg": "Pm-3m (221)",
  "crystal_system": "cubic",
  "e_form_ev_per_atom": -0.398,
  "lattice": [[3.119, 0.000, 0.000], [0.000, 3.119, 0.000], [0.000, 0.000, 3.119]],
  "species": ["Ti", "Re"],
  "frac_coords": [[0.000, 0.000, 0.000], [0.500, 0.500, 0.500]]
}

# 3
{
  "formula": "P2Rh3",
  "functional": "PBE-GGA",
  "state": "relaxed",
  "sg": "P-4m2 (115)",
  "crystal_system": "tetragonal",
  "e_form_ev_per_atom": -0.667,
  "lattice": [[3.366, 0.000, 0.000], [0.000, 3.366, 0.000], [0.000, 0.000, 6.286]],
  "species": ["P", "P", "Rh", "Rh", "Rh"],
  "frac_coords": [[0.000, 0.500, 0.244], [0.500, 0.000, 0.756], [0.000, 0.000, 0.500], [0.000, 0.500, 0.868], [0.500, 0.000, 0.132]]
}

# 4
{
  "formula": "Tb5Si2BO13",
  "functional": "PBE-GGA",
  "state": "relaxed",
  "sg": "Pm (6)",
  "crystal_system": "monoclinic",
  "e_form_ev_per_atom": -3.716,
  "lattice": [[9.291, 0.000, 0.000], [0.000, 6.822, 0.000], [-4.596, 0.000, 8.086]],
  "species": ["Tb", "Tb", "Tb", "Tb", "Tb", "Tb", "Tb", "Tb", "Tb", "Tb", "Si", "Si", "Si", "Si", "B", "B", "O", "O", "O", "O", "O", "O", "O", "O", "O", "O", "O", "O", "O", "O", "O", "O", "O", "O", "O", "O", "O", "O", "O", "O", "O", "O"],
  "frac_coords": [[0.000, 0.000, 0.000], [0.003, 0.500, 0.537], [0.253, 0.500, 0.010], [0.258, 0.000, 0.791], [0.354, 0.240, 0.442], [0.354, 0.760, 0.442], [0.663, 0.240, 0.096], [0.663, 0.760, 0.096], [0.762, 0.000, 0.540], [0.774, 0.500, 0.786], [0.039, 0.500, 0.176], [0.377, 0.500, 0.741], [0.609, 0.500, 0.400], [0.979, 0.000, 0.375], [0.419, 0.000, 0.150], [0.640, 0.000, 0.804], [0.007, 0.000, 0.768], [0.009, 0.500, 0.777], [0.102, 0.308, 0.115], [0.102, 0.692, 0.115], [0.143, 0.500, 0.379], [0.179, 0.000, 0.446], [0.256, 0.308, 0.682], [0.256, 0.692, 0.682], [0.354, 0.000, 0.267], [0.365, 0.180, 0.038], [0.365, 0.820, 0.038], [0.405, 0.500, 0.301], [0.481, 0.500, 0.642], [0.495, 0.500, 0.941], [0.530, 0.000, 0.620], [0.544, 0.000, 0.893], [0.605, 0.000, 0.240], [0.664, 0.311, 0.524], [0.664, 0.689, 0.524], [0.687, 0.500, 0.280], [0.750, 0.180, 0.861], [0.750, 0.820, 0.861], [0.838, 0.500, 0.092], [0.877, 0.000, 0.172], [0.915, 0.192, 0.433], [0.915, 0.808, 0.433]]
}

# 5
{
  "formula": "EuAsO3",
  "functional": "PBE-GGA",
  "state": "relaxed",
  "sg": "Pm-3m (221)",
  "crystal_system": "cubic",
  "e_form_ev_per_atom": -2.267,
  "lattice": [[3.998, 0.000, 0.000], [0.000, 3.998, 0.000], [0.000, 0.000, 3.998]],
  "species": ["Eu", "As", "O", "O", "O"],
  "frac_coords": [[0.000, 0.000, 0.000], [0.500, 0.500, 0.500], [0.000, 0.500, 0.500], [0.500, 0.000, 0.500], [0.500, 0.500, 0.000]]
}

# 6
{
  "formula": "Na14Mg4Zr4Si7S5O48",
  "functional": "PBE-GGA",
  "state": "relaxed",
  "sg": "P1 (1)",
  "crystal_system": "triclinic",
  "e_form_ev_per_atom": -2.728,
  "lattice": [[9.190, 0.000, 0.000], [-0.024, 15.910, 0.000], [-0.029, -0.101, 22.561]],
  "species": ["Na", "Na", "Na", "Na", "Na", "Na", "Na", "Na", "Na", "Na", "Na", "Na", "Na", "Na", "Na", "Na", "Na", "Na", "Na", "Na", "Na", "Na", "Na", "Na", "Na", "Na", "Na", "Na", "Na", "Na", "Na", "Na", "Na", "Na", "Na", "Na", "Na", "Na", "Na", "Na", "Na", "Na", "Mg", "Mg", "Mg", "Mg", "Mg", "Mg", "Mg", "Mg", "Mg", "Mg", "Mg", "Mg", "Zr", "Zr", "Zr", "Zr", "Zr", "Zr", "Zr", "Zr", "Zr", "Zr", "Zr", "Zr", "Si", "Si", "Si", "Si", "Si", "Si", "Si", "Si", "Si", "Si", "Si", "Si", "Si", "Si", "Si", "Si", "Si", "Si", "Si", "Si", "Si", "S", "S", "S", "S", "S", "S", "S", "S", "S", "S", "S", "S", "S", "S", "S", "O", "O", "O", "O", "O", "O", "O", "O", "O", "O", "O", "O", "O", "O", "O", "O", "O", "O", "O", "O", "O", "O", "O", "O", "O", "O", "O", "O", "O", "O", "O", "O", "O", "O", "O", "O", "O", "O", "O", "O", "O", "O", "O", "O", "O", "O", "O", "O", "O", "O", "O", "O", "O", "O", "O", "O", "O", "O", "O", "O", "O", "O", "O", "O", "O", "O", "O", "O", "O", "O", "O", "O", "O", "O", "O", "O", "O", "O", "O", "O", "O", "O", "O", "O", "O", "O", "O", "O", "O", "O", "O", "O", "O", "O", "O", "O", "O", "O", "O", "O", "O", "O", "O", "O", "O", "O", "O", "O", "O", "O", "O", "O", "O", "O", "O", "O", "O", "O", "O", "O", "O", "O", "O", "O", "O", "O", "O", "O", "O", "O", "O", "O", "O", "O", "O", "O", "O", "O", "O", "O", "O", "O", "O", "O"],
  "frac_coords": [[0.000, 0.000, 0.000], [0.002, 0.666, 0.340], [0.013, 0.325, 0.665], [0.140, 0.178, 0.584], [0.144, 0.841, 0.927], [0.148, 0.499, 0.751], [0.150, 0.502, 0.254], [0.158, 0.833, 0.424], [0.159, 0.179, 0.086], [0.268, 0.329, 0.160], [0.300, 0.012, 0.498], [0.304, 0.664, 0.832], [0.324, 0.309, 0.510], [0.327, 0.344, 0.833], [0.337, 0.648, 0.168], [0.339, 0.028, 0.176], [0.460, 0.525, 0.677], [0.473, 0.845, 0.340], [0.474, 0.811, 0.005], [0.478, 0.152, 0.670], [0.500, 0.165, 0.337], [0.501, 0.509, 0.991], [0.532, 0.832, 0.660], [0.639, 0.677, 0.589], [0.640, 0.333, 0.916], [0.641, 0.676, 0.075], [0.648, 0.003, 0.253], [0.651, 0.339, 0.432], [0.654, 0.011, 0.746], [0.768, 0.834, 0.167], [0.794, 0.166, 0.830], [0.796, 0.499, 0.506], [0.821, 0.818, 0.510], [0.827, 0.196, 0.511], [0.830, 0.152, 0.161], [0.832, 0.854, 0.840], [0.843, 0.519, 0.179], [0.947, 0.027, 0.678], [0.965, 0.354, 0.344], [0.967, 0.651, 0.662], [0.971, 0.695, 0.998], [0.976, 0.316, 0.005], [0.138, 0.169, 0.742], [0.143, 0.503, 0.600], [0.143, 0.833, 0.064], [0.152, 0.497, 0.100], [0.155, 0.166, 0.441], [0.157, 0.170, 0.233], [0.639, 0.666, 0.939], [0.642, 0.668, 0.733], [0.648, 0.003, 0.604], [0.648, 0.666, 0.249], [0.653, 0.005, 0.099], [0.662, 0.328, 0.567], [0.143, 0.507, 0.403], [0.143, 0.836, 0.769], [0.148, 0.838, 0.279], [0.151, 0.171, 0.934], [0.152, 0.823, 0.568], [0.163, 0.501, 0.902], [0.637, 0.001, 0.403], [0.645, 0.672, 0.435], [0.646, 0.323, 0.066], [0.653, 0.331, 0.775], [0.656, 0.008, 0.902], [0.656, 0.336, 0.270], [0.003, 0.352, 0.504], [0.004, 0.320, 0.834], [0.006, 0.017, 0.837], [0.292, 0.028, 0.336], [0.296, 0.652, 0.009], [0.299, 0.352, 0.007], [0.300, 0.680, 0.673], [0.354, 0.663, 0.329], [0.439, 0.163, 0.829], [0.498, 0.153, 0.507], [0.498, 0.181, 0.172], [0.500, 0.854, 0.507], [0.509, 0.525, 0.836], [0.791, 0.819, 0.332], [0.793, 0.852, 0.006], [0.794, 0.518, 0.335], [0.805, 0.149, 0.007], [0.805, 0.185, 0.667], [0.845, 0.835, 0.669], [0.953, 0.338, 0.169], [0.993, 0.650, 0.506], [0.003, 0.979, 0.168], [0.294, 0.983, 0.668], [0.296, 0.314, 0.336], [0.355, 0.001, 0.007], [0.357, 0.337, 0.667], [0.439, 0.835, 0.167], [0.442, 0.502, 0.506], [0.503, 0.814, 0.837], [0.505, 0.484, 0.168], [0.795, 0.481, 0.668], [0.857, 0.504, 0.006], [0.860, 0.169, 0.335], [0.939, 0.669, 0.836], [0.941, 0.003, 0.505], [0.999, 0.689, 0.168], [0.026, 0.073, 0.778], [0.026, 0.595, 0.564], [0.030, 0.080, 0.497], [0.031, 0.260, 0.893], [0.033, 0.742, 0.116], [0.037, 0.747, 0.833], [0.039, 0.595, 0.840], [0.039, 0.928, 0.507], [0.041, 0.925, 0.220], [0.044, 0.251, 0.175], [0.045, 0.411, 0.445], [0.051, 0.424, 0.168], [0.059, 0.747, 0.505], [0.060, 0.731, 0.222], [0.062, 0.607, 0.445], [0.065, 0.064, 0.175], [0.065, 0.256, 0.495], [0.066, 0.061, 0.898], [0.067, 0.605, 0.165], [0.067, 0.941, 0.114], [0.072, 0.414, 0.845], [0.074, 0.919, 0.835], [0.082, 0.281, 0.776], [0.083, 0.395, 0.562], [0.217, 0.606, 0.949], [0.219, 0.589, 0.668], [0.223, 0.391, 0.065], [0.226, 0.747, 0.009], [0.227, 0.065, 0.672], [0.228, 0.066, 0.396], [0.228, 0.259, 0.998], [0.230, 0.277, 0.282], [0.230, 0.730, 0.732], [0.232, 0.940, 0.614], [0.233, 0.401, 0.341], [0.239, 0.927, 0.329], [0.242, 0.584, 0.339], [0.248, 0.749, 0.328], [0.258, 0.075, 0.001], [0.258, 0.928, 0.721], [0.260, 0.745, 0.618], [0.261, 0.413, 0.666], [0.262, 0.594, 0.066], [0.263, 0.924, 0.010], [0.265, 0.412, 0.948], [0.267, 0.260, 0.669], [0.267, 0.263, 0.389], [0.268, 0.082, 0.276], [0.320, 0.855, 0.509], [0.321, 0.160, 0.500], [0.321, 0.176, 0.172], [0.322, 0.516, 0.841], [0.334, 0.180, 0.887], [0.340, 0.820, 0.831], [0.343, 0.828, 0.115], [0.345, 0.492, 0.167], [0.346, 0.492, 0.453], [0.347, 0.155, 0.769], [0.347, 0.841, 0.222], [0.354, 0.514, 0.560], [0.441, 0.653, 0.267], [0.443, 0.012, 0.061], [0.448, 0.347, 0.721], [0.451, 0.990, 0.954], [0.452, 0.332, 0.614], [0.454, 0.987, 0.666], [0.458, 0.321, 0.330], [0.462, 0.683, 0.385], [0.474, 0.659, 0.001], [0.476, 0.016, 0.340], [0.476, 0.676, 0.672], [0.479, 0.355, 0.008], [0.530, 0.583, 0.778], [0.530, 0.763, 0.890], [0.531, 0.091, 0.562], [0.531, 0.912, 0.167], [0.532, 0.911, 0.446], [0.533, 0.425, 0.509], [0.533, 0.758, 0.169], [0.539, 0.245, 0.117], [0.539, 0.430, 0.221], [0.539, 0.576, 0.499], [0.544, 0.250, 0.830], [0.552, 0.084, 0.840], [0.559, 0.426, 0.828], [0.563, 0.442, 0.115], [0.565, 0.900, 0.843], [0.568, 0.776, 0.783], [0.569, 0.231, 0.231], [0.569, 0.564, 0.897], [0.570, 0.247, 0.507], [0.571, 0.760, 0.498], [0.575, 0.107, 0.446], [0.577, 0.567, 0.173], [0.578, 0.089, 0.168], [0.578, 0.895, 0.564], [0.714, 0.892, 0.065], [0.720, 0.778, 0.273], [0.721, 0.094, 0.666], [0.722, 0.912, 0.342], [0.725, 0.421, 0.334], [0.730, 0.444, 0.614], [0.731, 0.566, 0.394], [0.731, 0.756, 0.996], [0.732, 0.235, 0.726], [0.735, 0.567, 0.676], [0.736, 0.105, 0.947], [0.739, 0.247, 0.005], [0.746, 0.919, 0.668], [0.752, 0.912, 0.948], [0.756, 0.747, 0.675], [0.757, 0.427, 0.720], [0.759, 0.095, 0.338], [0.759, 0.429, 0.010], [0.762, 0.247, 0.332], [0.765, 0.758, 0.391], [0.767, 0.580, 0.999], [0.773, 0.095, 0.065], [0.775, 0.573, 0.275], [0.778, 0.246, 0.610], [0.815, 0.658, 0.500], [0.824, 0.354, 0.505], [0.825, 0.003, 0.842], [0.825, 0.324, 0.832], [0.838, 0.681, 0.171], [0.840, 0.351, 0.226], [0.841, 0.328, 0.112], [0.841, 0.983, 0.167], [0.846, 0.988, 0.452], [0.851, 0.663, 0.782], [0.851, 0.681, 0.890], [0.854, 0.012, 0.559], [0.944, 0.514, 0.061], [0.946, 0.162, 0.280], [0.948, 0.180, 0.388], [0.952, 0.489, 0.954], [0.957, 0.485, 0.666], [0.957, 0.825, 0.612], [0.958, 0.848, 0.727], [0.972, 0.822, 0.329], [0.973, 0.851, 0.008], [0.974, 0.504, 0.341], [0.983, 0.158, 0.001], [0.983, 0.175, 0.673]]
}

# 7
{
  "formula": "Cu2H3ClO3",
  "functional": "PBE-GGA",
  "state": "relaxed",
  "e_above_lowest_polymorph_mev_per_atom": 15,
  "sg": "R-3m (166)",
  "crystal_system": "trigonal",
  "e_form_ev_per_atom": -0.988,
  "lattice": [[3.458, 1.997, 4.668], [-3.458, 1.997, 4.668], [0.000, -3.993, 4.668]],
  "species": ["Cu", "Cu", "Cu", "Cu", "H", "H", "H", "H", "H", "H", "Cl", "Cl", "O", "O", "O", "O", "O", "O"],
  "frac_coords": [[0.000, 0.000, 0.000], [0.000, 0.000, 0.500], [0.000, 0.500, 0.000], [0.500, 0.000, 0.000], [0.272, 0.272, 0.675], [0.272, 0.675, 0.272], [0.325, 0.728, 0.728], [0.675, 0.272, 0.272], [0.728, 0.325, 0.728], [0.728, 0.728, 0.325], [0.312, 0.312, 0.312], [0.688, 0.688, 0.688], [0.144, 0.770, 0.770], [0.230, 0.230, 0.856], [0.230, 0.856, 0.230], [0.770, 0.144, 0.770], [0.770, 0.770, 0.144], [0.856, 0.230, 0.230]]
}

# 8
{
  "formula": "YSeF",
  "functional": "PBE-GGA",
  "state": "relaxed",
  "sg": "Pnma (62)",
  "crystal_system": "orthorhombic",
  "e_form_ev_per_atom": -3.009,
  "lattice": [[11.602, 0.000, 0.000], [0.000, 4.125, 0.000], [0.000, 0.000, 5.640]],
  "species": ["Y", "Y", "Y", "Y", "Se", "Se", "Se", "Se", "F", "F", "F", "F"],
  "frac_coords": [[0.146, 0.250, 0.014], [0.354, 0.750, 0.514], [0.646, 0.250, 0.486], [0.854, 0.750, 0.986], [0.170, 0.250, 0.514], [0.330, 0.750, 0.014], [0.670, 0.250, 0.986], [0.830, 0.750, 0.486], [0.057, 0.750, 0.021], [0.443, 0.250, 0.521], [0.557, 0.750, 0.479], [0.943, 0.250, 0.979]]
}